[1]
Material: Li5MgTi12O24
Method: DFT, PBE
State: relaxed

Properties
Volume = 10.9 Å³ per atom
Total DFT energy (no corrections) = -8.179 eV/atom

Cell lengths 5.9948, 5.9948, 14.7576 Å; angles 90.00, 90.00, 120.00 degrees
Closest atoms and distances in Å follow each position.
Atoms (fractional coordinates):
O 0.6667 0.3333 0.9017  3 Ti 2.01, 1 Li 2.07
O 0.3333 0.6667 0.2370  3 Ti 2.01, 1 Li 2.05
Ti 0.1668 0.8332 0.1669  6 O 2.01-2.02
Ti 0.0000 0.0000 0.3329  6 O 2.01
O 0.3333 0.6667 0.7631  3 Ti 2.02, 1 Li 2.11
O 0.1819 0.3638 0.9132  3 Ti 1.97-2.05, 1 Li 2.02
O 0.6362 0.8181 0.9132  3 Ti 1.97-2.05, 1 Li 2.02
O 0.7040 0.8520 0.4208  3 Ti 2.01-2.03, 1 Li 2.04
O 0.0000 0.0000 0.5793  4 Ti 1.93-2.13
O 0.4834 0.5166 0.0883  3 Ti 2.01-2.02, 1 Li 2.02
O 0.6667 0.3333 0.4267  3 Ti 2.00, 1 Li 2.02
Ti 0.0000 0.0000 0.7098  4 O 1.90-1.93
Li 0.3333 0.6667 0.3759  4 O 2.04-2.05
Ti 0.1668 0.3337 0.1669  6 O 2.01-2.02
Ti 0.6663 0.8332 0.1669  6 O 2.01-2.02
Li 0.3333 0.6667 0.6203  4 O 2.00-2.11
Ti 0.8292 0.6585 0.4988  6 O 1.98-2.13
Ti 0.3415 0.1708 0.4988  6 O 1.98-2.13
O 0.5144 0.4856 0.5741  2 Ti 1.98, 1 Li 2.00, 1 Mg 2.06
Li 0.0000 0.0000 0.9618  4 O 1.99-2.02
O 0.3446 0.1723 0.7530  1 Ti 1.90
O 0.4834 0.9667 0.0883  3 Ti 2.01-2.02, 1 Li 2.02
O 0.8506 0.7013 0.2459  3 Ti 2.01-2.02, 1 Li 2.02
Li 0.6667 0.3333 0.2901  4 O 2.02
O 0.1819 0.8181 0.9132  3 Ti 1.97-2.05, 1 Li 2.02
O 0.8277 0.6554 0.7530  1 Ti 1.90
O 0.8277 0.1723 0.7530  1 Ti 1.90
O 0.0333 0.5166 0.0883  3 Ti 2.01-2.02, 1 Li 2.02
O 0.8506 0.1494 0.2459  3 Ti 2.01-2.02, 1 Li 2.02
Ti 0.3333 0.6667 0.0018  6 O 2.01-2.05
O 0.0000 0.0000 0.0967  1 Li 1.99, 3 Ti 2.02
Ti 0.0090 0.5045 0.8381  6 O 1.97-2.14
Ti 0.4955 0.9910 0.8381  6 O 1.97-2.14
Mg 0.6667 0.3333 0.6637  6 O 2.06-2.13
O 0.1480 0.2960 0.4208  3 Ti 2.01-2.03, 1 Li 2.04
Ti 0.4955 0.5045 0.8381  6 O 1.97-2.14
Li 0.6667 0.3333 0.0422  4 O 2.02-2.07
O 0.2987 0.1494 0.2459  3 Ti 2.01-2.02, 1 Li 2.02
O 0.5144 0.0288 0.5741  2 Ti 1.98, 1 Li 2.00, 1 Mg 2.06
Ti 0.8292 0.1708 0.4988  6 O 1.98-2.13
O 0.9712 0.4856 0.5741  2 Ti 1.98, 1 Li 2.00, 1 Mg 2.06
O 0.1480 0.8520 0.4208  3 Ti 2.01-2.03, 1 Li 2.04



[2]
Material: AlP2I9
Method: DFT, PBE
State: relaxed

Properties
Volume = 48.6 Å³ per atom
Total DFT energy (no corrections) = -2.651 eV/atom

Cell lengths 11.4829, 18.8211, 21.6061 Å; angles 90.00, 90.00, 90.00 degrees
Closest atoms and distances in Å follow each position.
Atoms (fractional coordinates):
I 0.9997 0.9974 0.6010  1 P 2.46
I 0.5109 0.0730 0.6327  1 P 2.47
Al 0.6301 0.7789 0.8799  4 I 2.54-2.61
I 0.7742 0.8862 0.8812  1 Al 2.61
I 0.2742 0.6138 0.1188  1 Al 2.61
I 0.9749 0.2248 0.4839  1 Al 2.55
I 0.9891 0.9270 0.1327  1 P 2.47
I 0.9978 0.7095 0.2138  1 Al 2.54
I 0.0003 0.0026 0.3990  1 P 2.46
I 0.7628 0.4585 0.7373  1 P 2.46
I 0.7471 0.6620 0.8694  1 Al 2.59
I 0.7372 0.5415 0.2373  1 P 2.46
I 0.4891 0.9270 0.3673  1 P 2.47
I 0.3498 0.3372 0.3290  1 P 2.45
I 0.3270 0.0948 0.4378  1 P 2.44
P 0.8051 0.9952 0.1332  1 P 2.28, 3 I 2.44-2.47
I 0.6502 0.8372 0.1710  1 P 2.45
I 0.5251 0.7248 0.4839  1 Al 2.55
I 0.5003 0.4974 0.6010  1 P 2.46
I 0.5003 0.0026 0.1010  1 P 2.46
I 0.0251 0.7248 0.0161  1 Al 2.55
I 0.1730 0.9052 0.9378  1 P 2.44
I 0.2471 0.8380 0.1306  1 Al 2.59
I 0.7372 0.9585 0.7373  1 P 2.46
I 0.7529 0.1620 0.8694  1 Al 2.59
P 0.3051 0.5048 0.8668  1 P 2.28, 3 I 2.44-2.47
P 0.6949 0.0048 0.6332  1 P 2.28, 3 I 2.44-2.47
I 0.2258 0.3862 0.6188  1 Al 2.61
I 0.2372 0.5415 0.2627  1 P 2.46
I 0.2529 0.3380 0.1306  1 Al 2.59
I 0.8270 0.4052 0.5622  1 P 2.44
P 0.3302 0.4242 0.4129  1 P 2.28, 2 I 2.45-2.46
P 0.6698 0.5758 0.5871  1 P 2.28, 2 I 2.45-2.46
I 0.3498 0.1628 0.8290  1 P 2.45
I 0.7258 0.1138 0.3812  1 Al 2.61
I 0.2258 0.1138 0.1188  1 Al 2.61
I 0.7258 0.3862 0.8812  1 Al 2.61
I 0.7471 0.8380 0.3694  1 Al 2.59
I 0.2628 0.4585 0.7627  1 P 2.46
Al 0.8699 0.2789 0.8799  4 I 2.54-2.61
I 0.2742 0.8862 0.6188  1 Al 2.61
P 0.3051 0.9952 0.3668  1 P 2.28, 3 I 2.44-2.47
I 0.6730 0.9052 0.5622  1 P 2.44
P 0.1698 0.5758 0.9129  1 P 2.28, 2 I 2.45-2.46
I 0.0109 0.0730 0.8673  1 P 2.47
Al 0.3699 0.2789 0.6201  4 I 2.54-2.61
P 0.3302 0.0758 0.9129  1 P 2.28, 2 I 2.45-2.46
I 0.9997 0.5026 0.1010  1 P 2.46
I 0.7742 0.6138 0.3812  1 Al 2.61
I 0.4997 0.9974 0.8990  1 P 2.46
I 0.5109 0.4270 0.1327  1 P 2.47
Al 0.8699 0.2211 0.3799  4 I 2.54-2.61
I 0.9891 0.5730 0.6327  1 P 2.47
Al 0.1301 0.7211 0.1201  4 I 2.54-2.61
I 0.6730 0.5948 0.0622  1 P 2.44
I 0.0109 0.4270 0.3673  1 P 2.47
I 0.5251 0.7752 0.9839  1 Al 2.55
I 0.1502 0.6628 0.8290  1 P 2.45
I 0.3270 0.4052 0.9378  1 P 2.44
I 0.2628 0.0415 0.2627  1 P 2.46
I 0.0003 0.4974 0.8990  1 P 2.46
I 0.2529 0.1620 0.6306  1 Al 2.59
I 0.4978 0.7095 0.2862  1 Al 2.54
I 0.2471 0.6620 0.6306  1 Al 2.59
P 0.1949 0.0048 0.8668  1 P 2.28, 3 I 2.44-2.47
P 0.6698 0.9242 0.0871  1 P 2.28, 2 I 2.45-2.46
I 0.7529 0.3380 0.3694  1 Al 2.59
P 0.1698 0.9242 0.4129  1 P 2.28, 2 I 2.45-2.46
P 0.8302 0.4242 0.0871  1 P 2.28, 2 I 2.45-2.46
I 0.5022 0.2905 0.7138  1 Al 2.54
P 0.6949 0.4952 0.1332  1 P 2.28, 3 I 2.44-2.47
P 0.8302 0.0758 0.5871  1 P 2.28, 2 I 2.45-2.46
I 0.7628 0.0415 0.2373  1 P 2.46
Al 0.6301 0.7211 0.3799  4 I 2.54-2.61
I 0.4891 0.5730 0.8673  1 P 2.47
I 0.0022 0.2095 0.2862  1 Al 2.54
I 0.1730 0.5948 0.4378  1 P 2.44
I 0.8498 0.1628 0.6710  1 P 2.45
I 0.6502 0.6628 0.6710  1 P 2.45
I 0.0251 0.7752 0.5161  1 Al 2.55
I 0.5022 0.2095 0.2138  1 Al 2.54
I 0.0022 0.2905 0.7862  1 Al 2.54
I 0.4978 0.7905 0.7862  1 Al 2.54
P 0.8051 0.5048 0.6332  1 P 2.28, 3 I 2.44-2.47
I 0.9978 0.7905 0.7138  1 Al 2.54
I 0.8498 0.3372 0.1710  1 P 2.45
I 0.8270 0.0948 0.0622  1 P 2.44
I 0.4749 0.2752 0.5161  1 Al 2.55
I 0.4749 0.2248 0.0161  1 Al 2.55
I 0.4997 0.5026 0.3990  1 P 2.46
I 0.9749 0.2752 0.9839  1 Al 2.55
I 0.1502 0.8372 0.3290  1 P 2.45
I 0.2372 0.9585 0.7627  1 P 2.46
Al 0.1301 0.7789 0.6201  4 I 2.54-2.61
Al 0.3699 0.2211 0.1201  4 I 2.54-2.61
P 0.1949 0.4952 0.3668  1 P 2.28, 3 I 2.44-2.47



[3]
Material: ZrNbB2
Method: DFT, PBE
State: relaxed

Properties
Volume = 12.6 Å³ per atom
Total DFT energy (no corrections) = -8.715 eV/atom

Cell lengths 4.9012, 4.9012, 3.1930 Å; angles 90.00, 90.00, 139.08 degrees
Closest atoms and distances in Å follow each position.
Atoms (fractional coordinates):
B 0.5581 0.4419 0.0000  2 B 1.87
Nb 0.1382 0.8618 0.5000  6 B 2.42-2.45
B 0.4520 0.5480 0.5000  2 B 1.87
Zr 0.8516 0.1484 0.0000  7 B 2.52-2.70



Q: Look up the volume of the first one.
A: 10.9 Å³ per atom



Q: The highest total DFT energy (no corrections) belongs to which entry?
A: AlP2I9



Q: Which formula does entry 1 have?
A: Li5MgTi12O24



Q: The highest volume belongs to which entry?
A: AlP2I9